The following is a r²SCAN calculation of a relaxed structure of Eu3Ga4Ni4, from Materials Project.

abc: 6.4254 6.4254 6.4254
angles: 109.47 109.47 109.47
Element x y z (fractional)
Eu 0.5000 0.0000 0.5000
Eu 0.0000 0.5000 0.5000
Eu 0.5000 0.5000 0.0000
Ga 0.0000 0.0000 0.6089
Ga 0.3911 0.3911 0.3911
Ga 0.0000 0.6089 0.0000
Ga 0.6089 0.0000 0.0000
Ni 0.0000 0.0000 0.2428
Ni 0.7572 0.7572 0.7572
Ni 0.2428 0.0000 0.0000
Ni 0.0000 0.2428 0.0000

Computed properties:
energy of formation	-0.50	eV/atom
SG	I-43m
total moment	21.0	μB per formula unit
DFT total energy	-19.522	eV/atom

The following is a r²SCAN calculation of a relaxed structure of Eu3GaP3, from Materials Project.

abc: 9.7121 9.7121 12.1680
angles: 90.00 90.00 142.53
Element x y z (fractional)
Eu 0.8174 0.8174 0.6477
Eu 0.1826 0.1826 0.3523
Eu 0.6826 0.6826 0.1477
Eu 0.3174 0.3174 0.8523
Eu 0.1298 0.4825 0.1319
Eu 0.5175 0.8702 0.8681
Eu 0.0175 0.3702 0.6319
Eu 0.6298 0.9825 0.3681
Eu 0.8702 0.5175 0.8681
Eu 0.4825 0.1298 0.1319
Eu 0.9825 0.6298 0.3681
Eu 0.3702 0.0175 0.6319
Ga 0.9130 0.0870 0.0000
Ga 0.4130 0.5870 0.5000
Ga 0.0870 0.9130 0.0000
Ga 0.5870 0.4130 0.5000
P 0.2889 0.2889 0.6056
P 0.7111 0.7111 0.3944
P 0.2111 0.2111 0.1056
P 0.7889 0.7889 0.8944
P 0.5516 0.8738 0.6213
P 0.1262 0.4484 0.3787
P 0.6262 0.9484 0.1213
P 0.0516 0.3738 0.8787
P 0.4484 0.1262 0.3787
P 0.8738 0.5516 0.6213
P 0.3738 0.0516 0.8787
P 0.9484 0.6262 0.1213

Computed properties:
energy of formation	-1.20	eV/atom
SG	Cmce
total moment	7.0	μB per formula unit
DFT total energy	-23.200	eV/atom